Entry i
## Mn12O7F17 (PBE+U)

Data for a relaxed structure of Mn12O7F17.

Cell: 4.8070 5.8257 15.8517 Å, 89.63 89.77 87.47°
With the nearest neighbours (Å) after each atom.
Space group P1 (No. 1)
Inequivalent atoms, fractional coordinates:
Mn  0.0000  0.0000  0.0000 (multiplicity 1)  1 O 1.97, 3 F 1.98-2.11
Mn  0.0009  0.6811  0.1794 (multiplicity 1)  2 O 1.91-1.98, 1 F 2.07
Mn  0.0337  0.6840  0.8395 (multiplicity 1)  3 O 1.91-2.06, 1 F 2.06
Mn  0.4333  0.1624  0.1804 (multiplicity 1)  2 O 2.03-2.04, 3 F 2.08-2.17
Mn  0.4369  0.4981  0.6677 (multiplicity 1)  2 O 1.96, 3 F 2.06-2.16
Mn  0.4448  0.1874  0.8411 (multiplicity 1)  2 O 1.93-1.95, 3 F 2.04-2.12
Mn  0.4701  0.4895  0.3328 (multiplicity 1)  1 O 1.99, 5 F 2.05-2.16
Mn  0.4866  0.4991  0.0022 (multiplicity 1)  1 O 2.07, 5 F 2.08-2.18
Mn  0.4963  0.1859  0.5049 (multiplicity 1)  2 O 2.05-2.11, 4 F 2.11-2.19
Mn  0.9730  0.9817  0.6760 (multiplicity 1)  1 O 2.00, 5 F 2.04-2.18
Mn  0.9757  0.9838  0.3438 (multiplicity 1)  2 O 1.96, 4 F 2.02-2.13
Mn  0.9883  0.6864  0.5074 (multiplicity 1)  2 O 1.98-2.02, 4 F 2.06-2.19
O  0.1788  0.9370  0.2372 (multiplicity 1)  3 Mn 1.96-2.04
O  0.1836  0.7127  0.7281 (multiplicity 1)  3 Mn 1.91-2.00
O  0.2110  0.9611  0.8942 (multiplicity 1)  3 Mn 1.95-2.06
O  0.2463  0.4517  0.2288 (multiplicity 1)  3 Mn 1.91-2.03
O  0.2565  0.4475  0.8943 (multiplicity 1)  3 Mn 1.91-2.07
O  0.2573  0.4600  0.5586 (multiplicity 1)  3 Mn 1.96-2.11
O  0.7805  0.9552  0.4519 (multiplicity 1)  3 Mn 1.96-2.05
F  0.2168  0.7194  0.3981 (multiplicity 1)  3 Mn 2.05-2.07
F  0.2232  0.7370  0.0631 (multiplicity 1)  3 Mn 2.08-2.16
F  0.2262  0.9518  0.5642 (multiplicity 1)  3 Mn 2.14-2.17
F  0.2281  0.2163  0.7251 (multiplicity 1)  3 Mn 2.04-2.16
F  0.2563  0.2155  0.3939 (multiplicity 1)  3 Mn 2.11-2.16
F  0.2565  0.2287  0.0626 (multiplicity 1)  3 Mn 2.08-2.18
F  0.6672  0.4349  0.7756 (multiplicity 1)  2 Mn 2.06-2.10
F  0.7089  0.2300  0.6201 (multiplicity 1)  3 Mn 2.08-2.13
F  0.7153  0.2131  0.2841 (multiplicity 1)  3 Mn 2.02-2.16
F  0.7162  0.4577  0.4403 (multiplicity 1)  3 Mn 2.08-2.19
F  0.7198  0.2217  0.9510 (multiplicity 1)  3 Mn 1.98-2.21
F  0.7210  0.9508  0.7896 (multiplicity 1)  3 Mn 2.04-2.26
F  0.7331  0.4725  0.1169 (multiplicity 1)  2 Mn 2.07-2.17
F  0.7338  0.7297  0.2873 (multiplicity 1)  3 Mn 2.05-2.15
F  0.7431  0.7273  0.6137 (multiplicity 1)  3 Mn 2.06-2.20
F  0.7511  0.9535  0.1158 (multiplicity 1)  3 Mn 2.17-2.21
F  0.7809  0.7131  0.9443 (multiplicity 1)  3 Mn 2.06-2.21

---

Entry ii
## Mn12O7F17 (PBE+U)

Data for a relaxed structure of Mn12O7F17.

Cell: 4.8318 5.8238 15.7586 Å, 89.36 89.10 87.88°
With the nearest neighbours (Å) after each atom.
Space group P1 (No. 1)
Inequivalent atoms, fractional coordinates:
Mn  0.0000  0.0000  0.0000 (multiplicity 1)  1 O 1.97, 5 F 2.05-2.19
Mn  0.0011  0.9780  0.3418 (multiplicity 1)  4 F 2.12-2.18, 2 O 2.13-2.21
Mn  0.0398  0.3304  0.5093 (multiplicity 1)  1 O 2.01, 4 F 2.04-2.21
Mn  0.4758  0.7842  0.5004 (multiplicity 1)  2 O 1.93-1.94, 2 F 2.02-2.03
Mn  0.4884  0.5062  0.6718 (multiplicity 1)  2 O 1.94-1.96, 3 F 2.01-2.15
Mn  0.4967  0.7912  0.1674 (multiplicity 1)  1 O 2.03, 5 F 2.07-2.16
Mn  0.5062  0.4865  0.3370 (multiplicity 1)  2 O 1.94-1.98, 4 F 2.04-2.15
Mn  0.5235  0.4692  0.0064 (multiplicity 1)  2 O 1.97, 4 F 2.10-2.20
Mn  0.5280  0.8006  0.8347 (multiplicity 1)  2 O 1.92-1.94, 2 F 2.02-2.12
Mn  0.9412  0.3046  0.8350 (multiplicity 1)  3 O 1.93-2.02, 1 F 2.06
Mn  0.9529  0.3094  0.1765 (multiplicity 1)  2 O 1.92, 2 F 2.07-2.11
Mn  0.9660  0.9901  0.6759 (multiplicity 1)  1 O 1.99, 4 F 2.05-2.12
O  0.2872  0.7334  0.3958 (multiplicity 1)  3 Mn 1.93-2.13
O  0.2956  0.5446  0.5651 (multiplicity 1)  3 Mn 1.94-2.01
O  0.7041  0.5149  0.1160 (multiplicity 1)  3 Mn 1.92-2.03
O  0.7049  0.5451  0.7741 (multiplicity 1)  3 Mn 1.94-2.02
O  0.7617  0.2665  0.2829 (multiplicity 1)  2 Mn 1.92-1.94
O  0.7630  0.0281  0.7860 (multiplicity 1)  3 Mn 1.92-2.02
O  0.7877  0.2587  0.9474 (multiplicity 1)  3 Mn 1.93-1.97
F  0.2021  0.2759  0.7305 (multiplicity 1)  3 Mn 2.06-2.24
F  0.2054  0.2657  0.0700 (multiplicity 1)  3 Mn 2.07-2.20
F  0.2125  0.0359  0.2208 (multiplicity 1)  3 Mn 2.11-2.18
F  0.2174  0.0363  0.5678 (multiplicity 1)  3 Mn 2.10-2.17
F  0.2493  0.2398  0.3944 (multiplicity 1)  3 Mn 2.12-2.16
F  0.2530  0.7603  0.7255 (multiplicity 1)  3 Mn 2.02-2.21
F  0.2579  0.5361  0.2328 (multiplicity 1)  3 Mn 2.06-2.22
F  0.2590  0.0247  0.8917 (multiplicity 1)  2 Mn 2.02-2.11
F  0.2631  0.7574  0.0535 (multiplicity 1)  3 Mn 2.05-2.19
F  0.2922  0.5334  0.8965 (multiplicity 1)  2 Mn 2.10-2.17
F  0.7164  0.7763  0.6053 (multiplicity 1)  3 Mn 2.03-2.20
F  0.7321  0.7592  0.2789 (multiplicity 1)  3 Mn 2.11-2.15
F  0.7435  0.7561  0.9504 (multiplicity 1)  3 Mn 2.09-2.18
F  0.7491  0.0090  0.4536 (multiplicity 1)  2 Mn 2.02-2.13
F  0.7509  0.5127  0.4407 (multiplicity 1)  3 Mn 2.04-2.23
F  0.7555  0.2762  0.6179 (multiplicity 1)  3 Mn 2.01-2.21
F  0.7587  0.0223  0.1102 (multiplicity 1)  3 Mn 2.07-2.23

---

Stability ranking, top entry: entry ii; the second entry is 1.1 kJ/mol of atoms less favorable.